# 1
Material: ReC2NCl4
Method: DFT, PBE
State: relaxed

abc: 6.778 10.294 13.850
angles: 86.89 80.03 73.27
Space group P-1 (No. 2)
Asymmetric unit:
Re 0.141 0.023 0.025 x2
Re 0.319 0.539 0.512 x2
C 0.262 0.124 0.684 x2
C 0.310 0.414 0.184 x2
C 0.343 0.549 0.882 x2
C 0.348 0.967 0.345 x2
N 0.458 0.085 0.673 x2
N 0.488 0.429 0.156 x2
Cl 0.015 0.859 0.835 x2
Cl 0.143 0.223 0.947 x2
Cl 0.230 0.459 0.666 x2
Cl 0.239 0.359 0.452 x2
Cl 0.253 0.836 0.120 x2
Cl 0.254 0.747 0.580 x2
Cl 0.265 0.647 0.366 x2
Cl 0.412 0.919 0.904 x2

Values from the calculation:
Corrected total energy (MP2020 scheme) = -5.663 eV per atom
Mass density = 2.7 g/cm3
Total energy = -0.394 Ry/atom
E_form = 0.166 eV per atom

***

# 2
Material: SnCSN2Cl2
Method: DFT, PBE
State: relaxed

abc: 6.019 15.397 8.650
angles: 90.00 105.66 90.00
Space group P2_1/c (No. 14)
Asymmetric unit:
Sn 0.105 0.244 0.371 x4
C 0.272 0.051 0.697 x4
S 0.040 0.104 0.617 x4
N 0.385 0.518 0.290 x4
N 0.491 0.537 0.766 x4
Cl 0.111 0.138 0.082 x4
Cl 0.470 0.736 0.053 x4

Values from the calculation:
Corrected total energy (MP2020 scheme) = -5.396 eV per atom
Mass density = 2.3 g/cm3
Total energy = -0.378 Ry/atom
E_form = -0.004 eV per atom

***

Question: Look up the total energy of the second one.
Answer: -0.378 Ry/atom

***

Question: Look up the mass density of the first one.
Answer: 2.7 g/cm3

***

Question: Among the records above, which one has the lowest corrected total energy (MP2020 scheme)?
Answer: ReC2NCl4